w.
Here is an optimized crystal structure of LiVF4 from the Materials Project database. Energies are from PBE+U.

a b c (Å): 3.1307 4.9416 5.4436
angles (deg): 67.43 90.00 90.00
Atoms (fractional coordinates):
Li: 0.5000 0.0000 0.5000
V: 0.0000 0.0000 0.0000
F: 0.0000 0.1922 0.2478
F: 0.5000 0.7737 0.2198
F: 0.5000 0.2263 0.7802
F: 0.0000 0.8078 0.7522

Properties
Mass density, g/cm3: 2.9
SG: No. 10

***

x.
Here is an optimized crystal structure of LiVF4 from the Materials Project database. Energies are from PBE+U.

a b c (Å): 4.7591 5.6202 5.6998
angles (deg): 66.20 90.00 90.00
Atoms (fractional coordinates):
Li: 0.0000 0.5000 0.5000
Li: 0.5000 0.5000 0.0000
V: 0.5000 0.0000 0.5000
V: 0.0000 0.0000 0.0000
F: 0.7082 0.8582 0.8443
F: 0.7918 0.8582 0.3443
F: 0.3140 0.6689 0.6396
F: 0.1860 0.6689 0.1396
F: 0.8140 0.3311 0.8604
F: 0.6860 0.3311 0.3604
F: 0.2082 0.1418 0.6557
F: 0.2918 0.1418 0.1557

Properties
Mass density, g/cm3: 3.2
SG: No. 14

***

We find x to be the most stable, with the next structure 0.064 eV/atom higher.

***

w.
Here is an optimized crystal structure of Cr2FeO4 from the Materials Project database. Energies are from PBE+U.

a b c (Å): 3.0323 9.2610 10.8039
angles (deg): 90.00 90.00 90.00
Atoms (fractional coordinates):
Cr: 0.7500 0.9501 0.3830
Cr: 0.2500 0.5499 0.8830
Cr: 0.7500 0.9072 0.9042
Cr: 0.2500 0.5928 0.4042
Cr: 0.7500 0.4500 0.1170
Cr: 0.2500 0.0500 0.6170
Cr: 0.7500 0.4072 0.5958
Cr: 0.2500 0.0928 0.0958
Fe: 0.7500 0.2460 0.8290
Fe: 0.2500 0.2540 0.3290
Fe: 0.7501 0.7460 0.6710
Fe: 0.2500 0.7540 0.1710
O: 0.7500 0.1914 0.6539
O: 0.7501 0.6915 0.8461
O: 0.2500 0.8085 0.3461
O: 0.2499 0.3085 0.1539
O: 0.7500 0.1127 0.9712
O: 0.7500 0.6126 0.5288
O: 0.2500 0.8874 0.0287
O: 0.2500 0.3873 0.4712
O: 0.7500 0.0518 0.2157
O: 0.7500 0.5518 0.2843
O: 0.2500 0.9482 0.7843
O: 0.2500 0.4481 0.7157
O: 0.7500 0.4179 0.9327
O: 0.7500 0.9179 0.5673
O: 0.2500 0.5821 0.0673
O: 0.2501 0.0822 0.4327

Properties
Mass density, g/cm3: 4.9
SG: No. 62

***

x.
Here is an optimized crystal structure of Cr2FeO4 from the Materials Project database. Energies are from PBE+U.

a b c (Å): 6.0328 5.9922 6.0404
angles (deg): 60.62 60.70 91.27
Atoms (fractional coordinates):
Cr: 0.0000 0.0000 0.5000
Cr: 0.0000 0.5000 0.0000
Cr: 0.0000 0.5000 0.5000
Cr: 0.5000 0.5000 0.0000
Fe: 0.6253 0.8752 0.2501
Fe: 0.3747 0.1248 0.7500
O: 0.7586 0.7303 0.5287
O: 0.2317 0.2597 0.0274
O: 0.7871 0.2601 0.4715
O: 0.7601 0.2888 0.9708
O: 0.2414 0.2697 0.4713
O: 0.7683 0.7404 0.9726
O: 0.2129 0.7399 0.5285
O: 0.2399 0.7112 0.0292

Properties
Mass density, g/cm3: 4.8
SG: No. 2

***

We find x to be the most stable, with the next structure 0.082 eV/atom higher.

***

w.
Here is an optimized crystal structure of MgFeF4 from the Materials Project database. Energies are from PBE+U.

a b c (Å): 5.0665 5.0450 6.2339
angles (deg): 113.66 113.93 89.93
Atoms (fractional coordinates):
Mg: 0.2523 0.2491 0.4990
Mg: 0.7512 0.7485 0.4990
Fe: 0.0004 0.5008 0.0007
Fe: 0.4994 0.9978 0.9979
F: 0.9074 0.3963 0.2617
F: 0.6522 0.1384 0.7386
F: 0.0958 0.6051 0.7415
F: 0.1502 0.1016 0.7353
F: 0.3548 0.8595 0.2630
F: 0.4063 0.3578 0.2590
F: 0.8524 0.8940 0.2575
F: 0.5928 0.6372 0.7361

Properties
Mass density, g/cm3: 4.0
SG: No. 1

***

x.
Here is an optimized crystal structure of MgFeF4 from the Materials Project database. Energies are from PBE+U.

a b c (Å): 6.2828 6.2828 5.0787
angles (deg): 66.36 66.36 47.91
Atoms (fractional coordinates):
Mg: 0.7474 0.2526 0.0000
Mg: 0.2489 0.7511 0.5000
Fe: 0.0028 0.4957 0.2542
Fe: 0.5043 0.9972 0.7458
F: 0.0851 0.1507 0.1565
F: 0.3413 0.4228 0.8969
F: 0.9108 0.8480 0.3481
F: 0.8493 0.9149 0.8435
F: 0.6512 0.5838 0.6018
F: 0.5772 0.6587 0.1031
F: 0.1520 0.0892 0.6519
F: 0.4162 0.3488 0.3982

Properties
Mass density, g/cm3: 3.9
SG: No. 5

***

We find w to be the most stable, with the next structure 0.288 eV/atom higher.

***

w.
Here is an optimized crystal structure of LiVP2H2O8 from the Materials Project database. Energies are from PBE+U.

a b c (Å): 8.0441 18.3398 8.0471
angles (deg): 102.91 60.04 102.73
Atoms (fractional coordinates):
Li: 0.2469 0.7500 0.2513
Li: 0.1890 0.5732 0.1911
Li: 0.6923 0.0733 0.6896
Li: 0.3077 0.9268 0.3105
Li: 0.8110 0.4268 0.8089
Li: 0.7531 0.2500 0.7487
V: 0.0001 0.0000 0.0000
V: 0.0864 0.2588 0.0863
V: 0.4142 0.2415 0.4137
V: 0.5000 0.5000 0.5001
V: 0.5859 0.7587 0.5865
V: 0.9136 0.7412 0.9137
P: 0.2580 0.8625 0.6866
P: 0.2413 0.6371 0.5827
P: 0.3128 0.1370 0.0823
P: 0.4181 0.3626 0.1870
P: 0.0833 0.1371 0.7406
P: 0.1866 0.3624 0.7587
P: 0.8134 0.6376 0.2412
P: 0.9167 0.8628 0.2593
P: 0.5820 0.6374 0.8131
P: 0.6873 0.8630 0.9177
P: 0.7587 0.3629 0.4174
P: 0.7420 0.1375 0.3134
H: 0.0942 0.6371 0.9761
H: 0.9764 0.6358 0.5658
H: 0.0663 0.1361 0.4758
H: 0.5233 0.8628 0.4063
H: 0.5662 0.6366 0.0929
H: 0.4067 0.8639 0.9344
H: 0.5933 0.1361 0.0657
H: 0.4767 0.1372 0.5938
H: 0.4338 0.3634 0.9071
H: 0.9337 0.8639 0.5241
H: 0.0236 0.3642 0.4343
H: 0.9058 0.3629 0.0239
O: 0.0250 0.8054 0.0843
O: 0.0312 0.8754 0.3869
O: 0.0432 0.6258 0.1137
O: 0.0836 0.8050 0.6968
O: 0.1136 0.6241 0.4683
O: 0.4580 0.8752 0.0323
O: 0.2088 0.9395 0.7993
O: 0.2052 0.3324 0.2395
O: 0.1114 0.6680 0.7951
O: 0.3855 0.8740 0.4572
O: 0.4680 0.6254 0.0421
O: 0.1987 0.0600 0.0709
O: 0.2891 0.5601 0.5728
O: 0.4160 0.6937 0.4750
O: 0.6977 0.8060 0.0252
O: 0.2608 0.1677 0.2947
O: 0.3884 0.8327 0.7397
O: 0.1965 0.3049 0.5840
O: 0.4303 0.4399 0.3007
O: 0.0725 0.0606 0.7893
O: 0.2996 0.4395 0.7096
O: 0.5247 0.3055 0.1978
O: 0.7046 0.8320 0.3889
O: 0.7607 0.6675 0.1112
O: 0.2391 0.3325 0.8889
O: 0.2952 0.1680 0.6111
O: 0.4750 0.6944 0.8023
O: 0.7005 0.5605 0.2903
O: 0.9275 0.9394 0.2107
O: 0.5697 0.5601 0.6993
O: 0.8035 0.6951 0.4160
O: 0.6117 0.1673 0.2604
O: 0.7394 0.8323 0.7052
O: 0.5839 0.3062 0.5248
O: 0.3021 0.1940 0.9750
O: 0.7108 0.4399 0.4272
O: 0.8013 0.9400 0.9290
O: 0.5321 0.3746 0.9579
O: 0.6145 0.1260 0.5428
O: 0.8886 0.3319 0.2050
O: 0.7950 0.6675 0.7603
O: 0.7912 0.0605 0.2007
O: 0.8863 0.3759 0.5318
O: 0.5421 0.1247 0.9677
O: 0.9164 0.1950 0.3030
O: 0.9688 0.1245 0.6131
O: 0.9568 0.3742 0.8863
O: 0.9752 0.1946 0.9157

Properties
Mass density, g/cm3: 2.5
SG: No. 2

***

x.
Here is an optimized crystal structure of LiVP2H2O8 from the Materials Project database. Energies are from PBE+U.

a b c (Å): 9.8093 9.8093 8.6306
angles (deg): 73.16 73.16 117.27
Atoms (fractional coordinates):
Li: 0.3550 0.5601 0.0326
Li: 0.5601 0.3550 0.5326
Li: 0.1677 0.8779 0.5086
Li: 0.8779 0.1677 0.0086
V: 0.8733 0.1965 0.3719
V: 0.4187 0.7825 0.2778
V: 0.1965 0.8733 0.8719
V: 0.7825 0.4187 0.7778
P: 0.1717 0.1391 0.1673
P: 0.0253 0.5771 0.3162
P: 0.1391 0.1717 0.6673
P: 0.5884 0.1856 0.2462
P: 0.5771 0.0253 0.8162
P: 0.1856 0.5884 0.7462
P: 0.6482 0.7055 0.1826
P: 0.7055 0.6482 0.6826
H: 0.4521 0.3147 0.0992
H: 0.2440 0.3347 0.3735
H: 0.3147 0.4521 0.5992
H: 0.3347 0.2440 0.8735
H: 0.8150 0.6387 0.2446
H: 0.9129 0.8626 0.4101
H: 0.6387 0.8150 0.7446
H: 0.8626 0.9129 0.9101
O: 0.0276 0.1686 0.1940
O: 0.2308 0.1270 0.9822
O: 0.1073 0.9698 0.3267
O: 0.4471 0.9974 0.2923
O: 0.3408 0.3108 0.1297
O: 0.1686 0.0276 0.6940
O: 0.1270 0.2308 0.4822
O: 0.0247 0.6913 0.1431
O: 0.9698 0.1073 0.8267
O: 0.0539 0.4426 0.2774
O: 0.6342 0.3214 0.0511
O: 0.7610 0.1959 0.2215
O: 0.5293 0.2330 0.3902
O: 0.9974 0.4471 0.7923
O: 0.1754 0.6999 0.3375
O: 0.3108 0.3408 0.6297
O: 0.4534 0.5838 0.2372
O: 0.6913 0.0247 0.6431
O: 0.4426 0.0539 0.7774
O: 0.3214 0.6342 0.5511
O: 0.7937 0.7767 0.9846
O: 0.1959 0.7610 0.7215
O: 0.6895 0.5977 0.3120
O: 0.2330 0.5293 0.8902
O: 0.6999 0.1754 0.8375
O: 0.8467 0.4731 0.4943
O: 0.5838 0.4534 0.7372
O: 0.6692 0.8651 0.2027
O: 0.7767 0.7937 0.4846
O: 0.5977 0.6895 0.8120
O: 0.4731 0.8467 0.9943
O: 0.8651 0.6692 0.7027

Properties
Mass density, g/cm3: 2.7
SG: No. 9

***

We find w to be the most stable, with the next structure 0.022 eV/atom higher.

***

w.
Here is an optimized crystal structure of Co2As2O7 from the Materials Project database. Energies are from PBE+U.

a b c (Å): 4.9062 5.3483 5.4626
angles (deg): 107.04 95.91 97.26
Atoms (fractional coordinates):
Co: 0.5056 0.6874 0.3085
Co: 0.4945 0.3149 0.6950
As: 0.1045 0.7533 0.7545
As: 0.8954 0.2431 0.2415
O: 0.2950 0.9373 0.5983
O: 0.7741 0.5855 0.5942
O: 0.2219 0.4164 0.4079
O: 0.0023 0.0007 0.9985
O: 0.2950 0.5919 0.9269
O: 0.7043 0.4075 0.0737
O: 0.7074 0.0619 0.4012

Properties
Mass density, g/cm3: 4.7
SG: No. 1

***

x.
Here is an optimized crystal structure of Co2As2O7 from the Materials Project database. Energies are from PBE+U.

a b c (Å): 6.4895 6.8369 6.8368
angles (deg): 100.24 70.91 109.11
Atoms (fractional coordinates):
Co: 0.7516 0.0641 0.5629
Co: 0.7483 0.4383 0.9376
Co: 0.2512 0.5622 0.0633
Co: 0.2478 0.9396 0.4391
As: 0.7298 0.9546 0.0447
As: 0.1935 0.4456 0.5592
As: 0.7679 0.5457 0.4552
As: 0.3055 0.0543 0.9414
O: 0.4745 0.4517 0.5553
O: 0.0235 0.0334 0.9389
O: 0.2457 0.6201 0.3829
O: 0.6800 0.1074 0.8948
O: 0.2602 0.8825 0.1183
O: 0.8238 0.3970 0.6049
O: 0.6250 0.6961 0.9801
O: 0.1100 0.1831 0.4813
O: 0.6358 0.0253 0.3020
O: 0.1074 0.5231 0.8210
O: 0.8669 0.4783 0.1975
O: 0.3949 0.9773 0.6796
O: 0.8706 0.8041 0.5192
O: 0.3861 0.3161 0.0208

Properties
Mass density, g/cm3: 4.7
SG: No. 1

***

We find x to be the most stable, with the next structure 0.013 eV/atom higher.

***

w.
Here is an optimized crystal structure of V3H4O8 from the Materials Project database. Energies are from PBE+U.

a b c (Å): 9.1181 9.1181 5.9700
angles (deg): 83.51 83.51 22.84
Atoms (fractional coordinates):
V: 0.0000 0.0000 0.5000
V: 0.1940 0.1940 0.6548
V: 0.8060 0.8060 0.3452
H: 0.0753 0.0753 0.0880
H: 0.9247 0.9247 0.9120
H: 0.2029 0.2029 0.0906
H: 0.7971 0.7971 0.9094
O: 0.0318 0.0318 0.2061
O: 0.9682 0.9682 0.7939
O: 0.1090 0.1090 0.5647
O: 0.8910 0.8910 0.4353
O: 0.1710 0.1710 0.9662
O: 0.8290 0.8290 0.0338
O: 0.2634 0.2634 0.3615
O: 0.7366 0.7366 0.6385

Properties
Mass density, g/cm3: 2.5
SG: No. 12

***

x.
Here is an optimized crystal structure of V3H4O8 from the Materials Project database. Energies are from PBE+U.

a b c (Å): 10.8537 10.8537 5.5235
angles (deg): 80.42 99.58 154.16
Atoms (fractional coordinates):
V: 0.0054 0.9946 0.5145
V: 0.8385 0.1615 0.6208
V: 0.1672 0.8328 0.3749
H: 0.9223 0.0777 0.1172
H: 0.0044 0.9956 0.9834
H: 0.8053 0.1947 0.0694
H: 0.2004 0.7996 0.9141
O: 0.9692 0.0308 0.1709
O: 0.0309 0.9691 0.8324
O: 0.9186 0.0814 0.5569
O: 0.0841 0.9159 0.4187
O: 0.8341 0.1659 0.9450
O: 0.1867 0.8133 0.0792
O: 0.7814 0.2186 0.3752
O: 0.2210 0.7790 0.6336

Properties
Mass density, g/cm3: 1.7
SG: No. 8

***

We find w to be the most stable, with the next structure 0.175 eV/atom higher.

***

w.
Here is an optimized crystal structure of La2Fe2O5 from the Materials Project database. Energies are from PBE+U.

a b c (Å): 5.5611 5.9068 8.8998
angles (deg): 70.56 71.45 89.50
Atoms (fractional coordinates):
La: 0.3830 0.9026 0.2238
La: 0.6032 0.0977 0.7761
La: 0.8811 0.3732 0.2234
La: 0.1054 0.6278 0.7770
Fe: 0.0073 0.0000 0.9996
Fe: 0.5076 0.4997 0.0000
Fe: 0.7256 0.7093 0.5000
Fe: 0.2244 0.2917 0.5003
O: 0.3445 0.6347 0.5004
O: 0.8430 0.3639 0.4996
O: 0.2727 0.2823 0.9543
O: 0.2255 0.7222 0.0452
O: 0.7730 0.2631 0.9543
O: 0.7245 0.7324 0.0457
O: 0.9113 0.9517 0.2803
O: 0.1923 0.0483 0.7199
O: 0.4109 0.2671 0.2805
O: 0.6928 0.7323 0.7196

Properties
Mass density, g/cm3: 6.0
SG: No. 1

***

x.
Here is an optimized crystal structure of La2Fe2O5 from the Materials Project database. Energies are from PBE+U.

a b c (Å): 4.0742 4.1309 7.5481
angles (deg): 91.01 94.06 90.52
Atoms (fractional coordinates):
La: 0.0009 0.9951 0.0032
La: 0.8684 0.0090 0.5004
Fe: 0.4720 0.4927 0.7637
Fe: 0.5054 0.5049 0.2303
O: 0.5018 0.9966 0.7750
O: 0.5366 0.0035 0.2134
O: 0.5993 0.5055 0.5015
O: 0.0065 0.4867 0.8123
O: 0.0090 0.5061 0.2001

Properties
Mass density, g/cm3: 6.2
SG: No. 1

***

We find w to be the most stable, with the next structure 0.081 eV/atom higher.